#a
Here is a relaxed Zn3P2O12 crystal from the Materials Project. Energies are from GGA-PBE.

abc: 5.373 5.873 7.742
angles: 98.43 104.92 91.50
Fractional coordinates of all 17 atoms:
Zn (0.000, 0.000, 0.000)
Zn (0.131, 0.725, 0.396)
Zn (0.869, 0.275, 0.604)
P (0.278, 0.234, 0.369)
P (0.722, 0.766, 0.631)
O (0.146, 0.991, 0.242)
O (0.167, 0.422, 0.256)
O (0.198, 0.243, 0.546)
O (0.369, 0.739, 0.952)
O (0.406, 0.248, 0.955)
O (0.431, 0.779, 0.603)
O (0.569, 0.221, 0.397)
O (0.594, 0.752, 0.045)
O (0.631, 0.261, 0.048)
O (0.802, 0.757, 0.454)
O (0.833, 0.578, 0.744)
O (0.854, 0.009, 0.758)

Its crystal system is triclinic. The volume is 13.7 Å³/atom. The value obtained for the size of the total moment is 0.24 μB/atom.

---

#b
Here is a relaxed Zn3P2O12 crystal from the Materials Project. Energies are from GGA-PBE.

abc: 10.863 18.290 5.152
angles: 90.00 90.00 90.00
Fractional coordinates of all 68 atoms:
Zn (0.144, 0.005, 0.206)
Zn (0.144, 0.495, 0.206)
Zn (0.169, 0.750, 0.535)
Zn (0.331, 0.250, 0.035)
Zn (0.356, 0.505, 0.706)
Zn (0.356, 0.995, 0.706)
Zn (0.644, 0.005, 0.294)
Zn (0.644, 0.495, 0.294)
Zn (0.669, 0.750, 0.965)
Zn (0.831, 0.250, 0.465)
Zn (0.856, 0.505, 0.794)
Zn (0.856, 0.995, 0.794)
P (0.104, 0.591, 0.720)
P (0.104, 0.909, 0.720)
P (0.396, 0.091, 0.220)
P (0.396, 0.409, 0.220)
P (0.604, 0.591, 0.780)
P (0.604, 0.909, 0.780)
P (0.896, 0.091, 0.280)
P (0.896, 0.409, 0.280)
O (0.025, 0.082, 0.159)
O (0.025, 0.418, 0.159)
O (0.099, 0.750, 0.193)
O (0.104, 0.578, 0.425)
O (0.104, 0.922, 0.425)
O (0.127, 0.250, 0.664)
O (0.155, 0.669, 0.768)
O (0.155, 0.831, 0.768)
O (0.167, 0.190, 0.768)
O (0.167, 0.310, 0.768)
O (0.193, 0.535, 0.857)
O (0.193, 0.965, 0.857)
O (0.307, 0.035, 0.357)
O (0.307, 0.465, 0.357)
O (0.333, 0.690, 0.268)
O (0.333, 0.810, 0.268)
O (0.345, 0.169, 0.268)
O (0.345, 0.331, 0.268)
O (0.373, 0.750, 0.164)
O (0.396, 0.078, 0.925)
O (0.396, 0.422, 0.925)
O (0.401, 0.250, 0.693)
O (0.475, 0.582, 0.659)
O (0.475, 0.918, 0.659)
O (0.525, 0.082, 0.341)
O (0.525, 0.418, 0.341)
O (0.599, 0.750, 0.307)
O (0.604, 0.578, 0.075)
O (0.604, 0.922, 0.075)
O (0.627, 0.250, 0.836)
O (0.655, 0.669, 0.732)
O (0.655, 0.831, 0.732)
O (0.667, 0.190, 0.732)
O (0.667, 0.310, 0.732)
O (0.693, 0.535, 0.643)
O (0.693, 0.965, 0.643)
O (0.807, 0.035, 0.143)
O (0.807, 0.465, 0.143)
O (0.833, 0.690, 0.232)
O (0.833, 0.810, 0.232)
O (0.845, 0.169, 0.232)
O (0.845, 0.331, 0.232)
O (0.873, 0.750, 0.336)
O (0.896, 0.078, 0.575)
O (0.896, 0.422, 0.575)
O (0.901, 0.250, 0.807)
O (0.975, 0.582, 0.841)
O (0.975, 0.918, 0.841)

Its crystal system is orthorhombic. The volume is 15.1 Å³/atom. The value obtained for the size of the total moment is 0.12 μB/atom.

---

#c
Here is a relaxed Zn3P2O12 crystal from the Materials Project. Energies are from GGA-PBE.

abc: 11.123 18.507 5.412
angles: 90.00 90.00 90.00
Fractional coordinates of all 68 atoms:
Zn (0.154, 0.003, 0.217)
Zn (0.154, 0.497, 0.217)
Zn (0.186, 0.250, 0.674)
Zn (0.314, 0.750, 0.174)
Zn (0.346, 0.503, 0.717)
Zn (0.346, 0.997, 0.717)
Zn (0.654, 0.003, 0.283)
Zn (0.654, 0.497, 0.283)
Zn (0.686, 0.250, 0.826)
Zn (0.814, 0.750, 0.326)
Zn (0.846, 0.503, 0.783)
Zn (0.846, 0.997, 0.783)
P (0.100, 0.085, 0.731)
P (0.100, 0.415, 0.731)
P (0.400, 0.585, 0.231)
P (0.400, 0.915, 0.231)
P (0.600, 0.085, 0.769)
P (0.600, 0.415, 0.769)
P (0.900, 0.585, 0.269)
P (0.900, 0.915, 0.269)
O (0.028, 0.567, 0.184)
O (0.028, 0.933, 0.184)
O (0.119, 0.717, 0.746)
O (0.119, 0.783, 0.746)
O (0.120, 0.080, 0.451)
O (0.120, 0.420, 0.451)
O (0.125, 0.250, 0.344)
O (0.127, 0.162, 0.825)
O (0.127, 0.338, 0.825)
O (0.148, 0.750, 0.250)
O (0.190, 0.031, 0.866)
O (0.190, 0.469, 0.866)
O (0.310, 0.531, 0.366)
O (0.310, 0.969, 0.366)
O (0.352, 0.250, 0.750)
O (0.373, 0.662, 0.325)
O (0.373, 0.838, 0.325)
O (0.375, 0.750, 0.844)
O (0.380, 0.580, 0.951)
O (0.380, 0.920, 0.951)
O (0.381, 0.217, 0.246)
O (0.381, 0.283, 0.246)
O (0.472, 0.067, 0.684)
O (0.472, 0.433, 0.684)
O (0.528, 0.567, 0.316)
O (0.528, 0.933, 0.316)
O (0.619, 0.717, 0.754)
O (0.619, 0.783, 0.754)
O (0.620, 0.080, 0.049)
O (0.620, 0.420, 0.049)
O (0.625, 0.250, 0.156)
O (0.627, 0.162, 0.675)
O (0.627, 0.338, 0.675)
O (0.648, 0.750, 0.250)
O (0.690, 0.031, 0.634)
O (0.690, 0.469, 0.634)
O (0.810, 0.531, 0.134)
O (0.810, 0.969, 0.134)
O (0.852, 0.250, 0.750)
O (0.873, 0.662, 0.175)
O (0.873, 0.838, 0.175)
O (0.875, 0.750, 0.656)
O (0.880, 0.580, 0.549)
O (0.880, 0.920, 0.549)
O (0.881, 0.217, 0.254)
O (0.881, 0.283, 0.254)
O (0.972, 0.067, 0.816)
O (0.972, 0.433, 0.816)

Its crystal system is orthorhombic. The volume is 16.4 Å³/atom. The value obtained for the size of the total moment is 0.35 μB/atom.

---

Relative energies in eV/atom: #a 0.000; #b 0.264; #c 0.235

---

#a
Here is a relaxed BaU2S5 crystal from the Materials Project. Energies are from GGA-PBE.

abc: 13.012 7.949 7.380
angles: 90.00 90.00 90.00
Fractional coordinates of all 32 atoms:
Ba (0.007, 0.250, 0.074)
Ba (0.493, 0.750, 0.574)
Ba (0.507, 0.250, 0.426)
Ba (0.993, 0.750, 0.926)
U (0.185, 0.006, 0.506)
U (0.185, 0.494, 0.506)
U (0.315, 0.506, 0.006)
U (0.315, 0.994, 0.006)
U (0.685, 0.006, 0.994)
U (0.685, 0.494, 0.994)
U (0.815, 0.506, 0.494)
U (0.815, 0.994, 0.494)
S (0.012, 0.250, 0.491)
S (0.132, 0.547, 0.168)
S (0.132, 0.953, 0.168)
S (0.192, 0.250, 0.816)
S (0.217, 0.750, 0.781)
S (0.283, 0.250, 0.281)
S (0.308, 0.750, 0.316)
S (0.368, 0.047, 0.668)
S (0.368, 0.453, 0.668)
S (0.488, 0.750, 0.991)
S (0.512, 0.250, 0.009)
S (0.632, 0.547, 0.332)
S (0.632, 0.953, 0.332)
S (0.692, 0.250, 0.684)
S (0.717, 0.750, 0.719)
S (0.783, 0.250, 0.219)
S (0.808, 0.750, 0.184)
S (0.868, 0.047, 0.832)
S (0.868, 0.453, 0.832)
S (0.988, 0.750, 0.509)

Its crystal system is orthorhombic. The volume is 23.9 Å³/atom. The value obtained for the size of the total moment is 0.50 μB/atom.

---

#b
Here is a relaxed BaU2S5 crystal from the Materials Project. Energies are from GGA-PBE.

abc: 8.469 7.496 11.770
angles: 90.00 90.57 90.00
Fractional coordinates of all 32 atoms:
Ba (0.010, 0.055, 0.332)
Ba (0.010, 0.445, 0.832)
Ba (0.990, 0.555, 0.168)
Ba (0.990, 0.945, 0.668)
U (0.258, 0.567, 0.492)
U (0.258, 0.933, 0.992)
U (0.500, 0.020, 0.318)
U (0.500, 0.480, 0.818)
U (0.500, 0.520, 0.182)
U (0.500, 0.980, 0.682)
U (0.742, 0.067, 0.008)
U (0.742, 0.433, 0.508)
S (0.035, 0.174, 0.070)
S (0.035, 0.326, 0.570)
S (0.278, 0.689, 0.714)
S (0.278, 0.811, 0.214)
S (0.286, 0.159, 0.812)
S (0.286, 0.341, 0.312)
S (0.295, 0.552, 0.998)
S (0.295, 0.948, 0.498)
S (0.456, 0.162, 0.099)
S (0.456, 0.338, 0.599)
S (0.544, 0.662, 0.401)
S (0.544, 0.838, 0.901)
S (0.705, 0.052, 0.502)
S (0.705, 0.448, 0.002)
S (0.714, 0.659, 0.688)
S (0.714, 0.841, 0.188)
S (0.722, 0.189, 0.786)
S (0.722, 0.311, 0.286)
S (0.965, 0.674, 0.430)
S (0.965, 0.826, 0.930)

Its crystal system is monoclinic. The volume is 23.4 Å³/atom.

---

Relative energies in eV/atom: #a 0.252; #b 0.000

---

#a
Here is a relaxed SrCaSmBiO6 crystal from the Materials Project. Energies are from GGA-PBE.

abc: 6.138 6.138 6.138
angles: 60.00 60.00 60.00
Fractional coordinates of all 10 atoms:
Sr (0.000, 0.000, 0.000)
Ca (0.500, 0.500, 0.500)
Sm (0.750, 0.750, 0.750)
Bi (0.250, 0.250, 0.250)
O (0.008, 0.008, 0.492)
O (0.008, 0.492, 0.008)
O (0.008, 0.492, 0.492)
O (0.492, 0.008, 0.008)
O (0.492, 0.008, 0.492)
O (0.492, 0.492, 0.008)

Its crystal system is cubic. The volume is 16.4 Å³/atom. The value obtained for the size of the total moment is 0.00 μB/atom.

---

#b
Here is a relaxed SrCaSmBiO6 crystal from the Materials Project. Energies are from GGA-PBE.

abc: 5.909 6.096 8.504
angles: 89.97 89.71 89.93
Fractional coordinates of all 20 atoms:
Sr (0.012, 0.052, 0.250)
Sr (0.988, 0.948, 0.750)
Ca (0.486, 0.549, 0.248)
Ca (0.514, 0.451, 0.752)
Sm (0.000, 0.500, 0.000)
Sm (0.500, 0.000, 0.500)
Bi (0.000, 0.500, 0.500)
Bi (0.500, 0.000, 0.000)
O (0.125, 0.538, 0.738)
O (0.185, 0.792, 0.443)
O (0.207, 0.809, 0.052)
O (0.294, 0.312, 0.434)
O (0.319, 0.295, 0.066)
O (0.397, 0.062, 0.761)
O (0.603, 0.938, 0.239)
O (0.681, 0.705, 0.934)
O (0.706, 0.688, 0.566)
O (0.793, 0.191, 0.948)
O (0.815, 0.208, 0.557)
O (0.875, 0.462, 0.262)

Its crystal system is triclinic. The volume is 15.3 Å³/atom. The value obtained for the size of the total moment is 0.00 μB/atom.

---

Relative energies in eV/atom: #a 0.196; #b 0.000

---

#a
Here is a relaxed Mg6Si5 crystal from the Materials Project. Energies are from GGA-PBE.

abc: 4.865 6.003 14.238
angles: 84.84 86.35 82.58
Fractional coordinates of all 22 atoms:
Mg (0.000, 0.000, 0.000)
Mg (0.001, 0.503, 0.984)
Mg (0.182, 0.460, 0.638)
Mg (0.304, 0.207, 0.467)
Mg (0.415, 0.959, 0.297)
Mg (0.453, 0.150, 0.100)
Mg (0.478, 0.643, 0.101)
Mg (0.584, 0.078, 0.736)
Mg (0.638, 0.572, 0.763)
Mg (0.659, 0.774, 0.550)
Mg (0.902, 0.296, 0.212)
Mg (0.949, 0.790, 0.204)
Si (0.073, 0.258, 0.823)
Si (0.097, 0.832, 0.825)
Si (0.101, 0.927, 0.649)
Si (0.197, 0.683, 0.439)
Si (0.350, 0.483, 0.292)
Si (0.531, 0.265, 0.913)
Si (0.545, 0.843, 0.917)
Si (0.763, 0.277, 0.558)
Si (0.787, 0.501, 0.387)
Si (0.869, 0.037, 0.394)

Its crystal system is triclinic. The volume is 18.6 Å³/atom. The value obtained for the size of the total moment is 0.00 μB/atom.

---

#b
Here is a relaxed Mg6Si5 crystal from the Materials Project. Energies are from GGA-PBE.

abc: 4.228 6.861 14.334
angles: 87.98 88.31 89.59
Fractional coordinates of all 22 atoms:
Mg (0.000, 0.000, 0.000)
Mg (0.000, 0.458, 0.202)
Mg (0.458, 0.591, 0.704)
Mg (0.467, 0.243, 0.561)
Mg (0.474, 0.756, 0.490)
Mg (0.487, 0.145, 0.320)
Mg (0.498, 0.812, 0.154)
Mg (0.506, 0.274, 0.079)
Mg (0.948, 0.274, 0.760)
Mg (0.973, 0.767, 0.829)
Mg (0.979, 0.417, 0.420)
Mg (0.987, 0.814, 0.323)
Si (0.012, 0.531, 0.013)
Si (0.371, 0.434, 0.883)
Si (0.454, 0.991, 0.716)
Si (0.489, 0.559, 0.315)
Si (0.504, 0.066, 0.882)
Si (0.512, 0.731, 0.969)
Si (0.964, 0.890, 0.626)
Si (0.969, 0.537, 0.595)
Si (0.972, 0.042, 0.469)
Si (0.997, 0.075, 0.182)

Its crystal system is triclinic. The volume is 18.9 Å³/atom. The value obtained for the size of the total moment is 0.00 μB/atom.

---

Relative energies in eV/atom: #a 0.124; #b 0.000

---

#a
Here is a relaxed Li2Sb crystal from the Materials Project. Energies are from GGA-PBE.

abc: 7.946 7.946 6.534
angles: 90.00 90.00 120.00
Fractional coordinates of all 18 atoms:
Li (0.292, 0.000, 0.000)
Li (0.708, 0.708, 0.500)
Li (0.000, 0.292, 0.500)
Li (0.000, 0.292, 0.000)
Li (0.708, 0.708, 0.000)
Li (0.292, 0.000, 0.500)
Li (0.630, 0.000, 0.250)
Li (0.370, 0.370, 0.250)
Li (0.000, 0.630, 0.250)
Li (0.630, 0.000, 0.750)
Li (0.370, 0.370, 0.750)
Li (0.000, 0.630, 0.750)
Sb (0.000, 0.000, 0.250)
Sb (0.000, 0.000, 0.750)
Sb (0.333, 0.667, 0.000)
Sb (0.333, 0.667, 0.500)
Sb (0.667, 0.333, 0.000)
Sb (0.667, 0.333, 0.500)

The volume is 19.8 Å³/atom.

---

#b
Here is a relaxed Li2Sb crystal from the Materials Project. Energies are from GGA-PBE.

abc: 7.951 7.951 6.568
angles: 90.00 90.00 120.00
Fractional coordinates of all 18 atoms:
Li (0.000, 0.291, 0.000)
Li (0.000, 0.291, 0.500)
Li (0.010, 0.637, 0.250)
Li (0.291, 0.000, 0.000)
Li (0.291, 0.000, 0.500)
Li (0.363, 0.373, 0.250)
Li (0.373, 0.363, 0.750)
Li (0.627, 0.990, 0.250)
Li (0.637, 0.010, 0.750)
Li (0.709, 0.709, 0.000)
Li (0.709, 0.709, 0.500)
Li (0.990, 0.627, 0.750)
Sb (0.000, 0.000, 0.250)
Sb (0.000, 0.000, 0.750)
Sb (0.333, 0.667, 0.524)
Sb (0.333, 0.667, 0.976)
Sb (0.667, 0.333, 0.024)
Sb (0.667, 0.333, 0.476)

Its crystal system is hexagonal. The volume is 20.0 Å³/atom. The value obtained for the size of the total moment is 0.00 μB/atom.

---

Relative energies in eV/atom: #a 0.000; #b 0.007